No. 1
Below is a relaxed NaZnPH2C2O6 crystal, with properties calculated at the GGA-PBE level.

Cell: 9.8048 10.2809 11.0060 Å, 90.00 90.00 90.00°
Closest atoms and distances in Å follow each position.
Sites, in units of the cell vectors:
Na 0.0833 0.1232 0.9255  5 O 2.35-2.48
Na 0.4167 0.6232 0.0745  5 O 2.35-2.48
Na 0.5833 0.8768 0.5745  5 O 2.35-2.48
Na 0.9167 0.3768 0.4255  5 O 2.35-2.48
Na 0.9167 0.8768 0.0745  5 O 2.35-2.48
Na 0.5833 0.3768 0.9255  5 O 2.35-2.48
Na 0.4167 0.1232 0.4255  5 O 2.35-2.48
Na 0.0833 0.6232 0.5745  5 O 2.35-2.48
Zn 0.9166 0.3222 0.1054  5 O 2.03-2.19
Zn 0.5834 0.8222 0.8946  5 O 2.03-2.19
Zn 0.4166 0.6778 0.3946  5 O 2.03-2.19
Zn 0.0834 0.1778 0.6054  5 O 2.03-2.19
Zn 0.0834 0.6778 0.8946  5 O 2.03-2.19
Zn 0.4166 0.1778 0.1054  5 O 2.03-2.19
Zn 0.5834 0.3222 0.6054  5 O 2.03-2.19
Zn 0.9166 0.8222 0.3946  5 O 2.03-2.19
P 0.2177 0.4037 0.9611  3 O 1.53-1.54
P 0.2823 0.9037 0.0389  3 O 1.53-1.54
P 0.7177 0.5963 0.5389  3 O 1.53-1.54
P 0.7823 0.0963 0.4611  3 O 1.53-1.54
P 0.7823 0.5963 0.0389  3 O 1.53-1.54
P 0.7177 0.0963 0.9611  3 O 1.53-1.54
P 0.2823 0.4037 0.4611  3 O 1.53-1.54
P 0.2177 0.9037 0.5389  3 O 1.53-1.54
H 0.3175 0.2168 0.7539  1 O 1.00
H 0.1825 0.7168 0.2461  1 O 1.00
H 0.8175 0.7832 0.7461  1 O 1.00
H 0.6825 0.2832 0.2539  1 O 1.00
H 0.6825 0.7832 0.2461  1 O 1.00
H 0.8175 0.2832 0.7539  1 O 1.00
H 0.1825 0.2168 0.2539  1 O 1.00
H 0.3175 0.7168 0.7461  1 O 1.00
H 0.2733 0.4327 0.7458  1 C 1.10
H 0.2267 0.9327 0.2542  1 C 1.10
H 0.7733 0.5673 0.7542  1 C 1.10
H 0.7267 0.0673 0.2458  1 C 1.10
H 0.7267 0.5673 0.2542  1 C 1.10
H 0.7733 0.0673 0.7458  1 C 1.10
H 0.2267 0.4327 0.2458  1 C 1.10
H 0.2733 0.9327 0.7542  1 C 1.10
C 0.9458 0.5912 0.2410  2 O 1.27-1.28
C 0.5542 0.0912 0.7590  2 O 1.27-1.28
C 0.4458 0.4088 0.2590  2 O 1.27-1.28
C 0.0542 0.9088 0.7410  2 O 1.27-1.28
C 0.0542 0.4088 0.7590  2 O 1.27-1.28
C 0.4458 0.9088 0.2410  2 O 1.27-1.28
C 0.5542 0.5912 0.7410  2 O 1.27-1.28
C 0.9458 0.0912 0.2590  2 O 1.27-1.28
C 0.1990 0.3719 0.7947  1 H 1.10
C 0.3010 0.8719 0.2053  1 H 1.10
C 0.6990 0.6281 0.7053  1 H 1.10
C 0.8010 0.1281 0.2947  1 H 1.10
C 0.8010 0.6281 0.2053  1 H 1.10
C 0.6990 0.1281 0.7947  1 H 1.10
C 0.3010 0.3719 0.2947  1 H 1.10
C 0.1990 0.8719 0.7053  1 H 1.10
O 0.3576 0.3514 0.0030  1 P 1.54
O 0.1424 0.8514 0.9970  1 P 1.54
O 0.8576 0.6486 0.4970  1 P 1.54
O 0.6424 0.1486 0.5030  1 P 1.54
O 0.6424 0.6486 0.9970  1 P 1.54
O 0.8576 0.1486 0.0030  1 P 1.54
O 0.1424 0.3514 0.5030  1 P 1.54
O 0.3576 0.8514 0.4970  1 P 1.54
O 0.2136 0.5528 0.9772  1 P 1.54
O 0.2864 0.0528 0.0228  1 P 1.54
O 0.7136 0.4472 0.5228  1 P 1.54
O 0.7864 0.9472 0.4772  1 P 1.54
O 0.7864 0.4472 0.0228  1 P 1.54
O 0.7136 0.9472 0.9772  1 P 1.54
O 0.2864 0.5528 0.4772  1 P 1.54
O 0.2136 0.0528 0.5228  1 P 1.54
O 0.0980 0.3290 0.0167  1 P 1.53
O 0.4020 0.8290 0.9833  1 P 1.53
O 0.5980 0.6710 0.4833  1 P 1.53
O 0.9020 0.1710 0.5167  1 P 1.53
O 0.9020 0.6710 0.9833  1 P 1.53
O 0.5980 0.1710 0.0167  1 P 1.53
O 0.4020 0.3290 0.5167  1 P 1.53
O 0.0980 0.8290 0.4833  1 P 1.53
O 0.2182 0.2366 0.7668  1 H 1.00
O 0.2818 0.7366 0.2332  1 H 1.00
O 0.7182 0.7634 0.7332  1 H 1.00
O 0.7818 0.2634 0.2668  1 H 1.00
O 0.7818 0.7634 0.2332  1 H 1.00
O 0.7182 0.2634 0.7668  1 H 1.00
O 0.2818 0.2366 0.2668  1 H 1.00
O 0.2182 0.7366 0.7332  1 H 1.00
O 0.9833 0.4736 0.2326  1 C 1.27
O 0.5167 0.9736 0.7674  1 C 1.27
O 0.4833 0.5264 0.2674  1 C 1.27
O 0.0167 0.0264 0.7326  1 C 1.27
O 0.0167 0.5264 0.7674  1 C 1.27
O 0.4833 0.0264 0.2326  1 C 1.27
O 0.5167 0.4736 0.7326  1 C 1.27
O 0.9833 0.9736 0.2674  1 C 1.27
O 0.0228 0.1831 0.2217  1 C 1.28
O 0.4772 0.6831 0.7783  1 C 1.28
O 0.5228 0.8169 0.2783  1 C 1.28
O 0.9772 0.3169 0.7217  1 C 1.28
O 0.9772 0.8169 0.7783  1 C 1.28
O 0.5228 0.3169 0.2217  1 C 1.28
O 0.4772 0.1831 0.7217  1 C 1.28
O 0.0228 0.6831 0.2783  1 C 1.28

Properties
The calculation puts the mass density at 2.89 Mg/m³. The MP2020-corrected energy is -0.240 hartree per atom. Its space group is Pbca. The total DFT energy (no corrections) comes out at -645.8 eV/cell.

=====

No. 2
Below is a relaxed Na3H12Ru2C4O18 crystal, with properties calculated at the GGA-PBE level.

Cell: 9.6883 9.6919 9.9584 Å, 106.74 109.31 88.33°
Closest atoms and distances in Å follow each position.
Sites, in units of the cell vectors:
Na 0.6051 0.0051 0.3868  5 O 2.37-2.52
Na 0.8399 0.3706 0.7937  5 O 2.37-2.50
Na 0.9999 0.5010 0.5002  4 O 2.39-2.42, 2 H 2.66
Na 0.1606 0.6290 0.2056  5 O 2.36-2.53
Na 0.5575 0.9669 0.9951  5 O 2.31-2.52
Na 0.3924 0.9953 0.6137  5 O 2.35-2.52
H 0.8619 0.0807 0.6429  1 O 0.99
H 0.1294 0.1533 0.5608  1 O 0.99
H 0.2310 0.2150 0.7245  1 O 0.98
H 0.8802 0.1604 0.5325  1 O 0.98
H 0.3423 0.1605 0.4119  1 O 0.98
H 0.4935 0.2512 0.5176  1 O 0.99
H 0.5704 0.2233 0.2275  1 O 0.98
H 0.7255 0.1682 0.2327  1 O 0.99
H 0.1051 0.4812 0.7763  1 O 0.99
H 0.5772 0.4868 0.6490  1 O 0.98
H 0.6589 0.4463 0.5281  1 O 0.99
H 0.0190 0.6154 0.8135  1 O 0.98
H 0.9811 0.3848 0.1874  1 O 0.98
H 0.3408 0.5527 0.4708  1 O 0.99
H 0.4230 0.5128 0.3504  1 O 0.98
H 0.8947 0.5189 0.2236  1 O 0.99
H 0.2812 0.8468 0.7820  1 O 0.99
H 0.4100 0.7587 0.7466  1 O 0.98
H 0.5068 0.7493 0.4827  1 O 0.99
H 0.6587 0.8392 0.5874  1 O 0.98
H 0.1196 0.8395 0.4677  1 O 0.98
H 0.7679 0.7811 0.2773  1 O 0.98
H 0.8703 0.8486 0.4392  1 O 0.99
H 0.1387 0.9193 0.3575  1 O 0.99
Ru 0.8887 0.0425 0.9531  4 O 2.03-2.07
Ru 0.5969 0.5561 0.9903  5 O 2.04-2.27
Ru 0.4027 0.4427 0.0087  5 O 2.03-2.26
Ru 0.1144 0.9611 0.0477  4 O 2.04-2.07
C 0.5999 0.2393 0.9061  3 O 1.28-1.31
C 0.0026 0.1375 0.2824  3 O 1.26-1.32
C 0.1328 0.2453 0.0078  3 O 1.27-1.32
C 0.3380 0.4984 0.7166  3 O 1.26-1.32
C 0.6613 0.5009 0.2826  3 O 1.26-1.33
C 0.8677 0.7573 0.9940  3 O 1.27-1.32
C 0.9992 0.8640 0.7178  3 O 1.26-1.33
C 0.4002 0.7603 0.0965  3 O 1.27-1.32
O 0.6483 0.1148 0.8682  1 C 1.28
O 0.1909 0.1236 0.6482  2 H 0.98-0.99
O 0.4761 0.2463 0.9338  1 C 1.31
O 0.9880 0.2245 0.9537  1 C 1.32
O 0.1133 0.0620 0.2604  1 C 1.32
O 0.8213 0.1554 0.5945  2 H 0.98-0.99
O 0.4394 0.1546 0.4812  2 H 0.98-0.99
O 0.6706 0.3570 0.9166  1 C 1.31
O 0.6273 0.1385 0.2286  2 H 0.98-0.99
O 0.0021 0.2011 0.4123  1 C 1.26
O 0.2129 0.1451 0.0495  1 C 1.30
O 0.8922 0.1473 0.1654  1 C 1.32
O 0.2839 0.4393 0.7947  1 C 1.32
O 0.6253 0.4094 0.5964  2 H 0.98-0.99
O 0.0050 0.5160 0.7487  2 H 0.98-0.99
O 0.2609 0.5011 0.5882  1 C 1.26
O 0.4746 0.5568 0.7779  1 C 1.32
O 0.1883 0.3673 0.0185  1 C 1.27
O 0.8110 0.6356 0.9817  1 C 1.27
O 0.5249 0.4421 0.2210  1 C 1.32
O 0.7384 0.4993 0.4114  1 C 1.26
O 0.9951 0.4846 0.2512  2 H 0.98-0.99
O 0.3755 0.5903 0.4037  2 H 0.98-0.99
O 0.7156 0.5598 0.2043  1 C 1.33
O 0.1118 0.8582 0.8348  1 C 1.32
O 0.7874 0.8602 0.9567  1 C 1.31
O 0.9979 0.7992 0.5876  1 C 1.26
O 0.3774 0.8565 0.7699  2 H 0.98-0.99
O 0.3296 0.6415 0.0834  1 C 1.31
O 0.5604 0.8462 0.5208  2 H 0.98-0.99
O 0.1780 0.8436 0.4048  2 H 0.98-0.99
O 0.8873 0.9377 0.7403  1 C 1.33
O 0.0121 0.7761 0.0421  1 C 1.32
O 0.5237 0.7529 0.0665  1 C 1.32
O 0.8068 0.8748 0.3502  2 H 0.98-0.99
O 0.3540 0.8840 0.1389  1 C 1.27

Properties
The calculation puts the mass density at 2.44 Mg/m³. The MP2020-corrected energy is -0.235 hartree per atom. Its space group is P1. The total DFT energy (no corrections) comes out at -474.4 eV/cell.